1.
Ba4As3 after structural relaxation. Source: the Materials Project database, functional GGA-PBE.

```
Ba4As3
1.0
-5.0328 5.0328 5.0328
5.0328 -5.0328 5.0328
5.0328 5.0328 -5.0328
Ba As
8 6
direct
0.3640 0.3640 0.3640 Ba
0.1360 0.5000 0.0000 Ba
0.0000 0.1360 0.5000 Ba
0.8640 0.8640 0.8640 Ba
0.5000 0.0000 0.1360 Ba
0.6360 0.5000 0.0000 Ba
0.5000 0.0000 0.6360 Ba
0.0000 0.6360 0.5000 Ba
0.1250 0.8750 0.2500 As
0.3750 0.6250 0.7500 As
0.8750 0.2500 0.1250 As
0.6250 0.7500 0.3750 As
0.2500 0.1250 0.8750 As
0.7500 0.3750 0.6250 As
```

**Theoretical density**: 5.04 g/cm³
**ΔE_f**: -1.05 eV/atom
**Space group**: I-43d


2.
BaAs3 after structural relaxation. Source: the Materials Project database, functional GGA-PBE.

```
BaAs3
1.0
-4.6340 -1.3965 4.3337
2.9700 0.1596 5.7757
-1.6031 5.1838 2.8597
Ba As
2 6
direct
0.8350 0.8350 0.3363 Ba
0.1650 0.1650 0.6637 Ba
0.3736 0.9041 0.1833 As
0.0959 0.6264 0.8167 As
0.5043 0.5043 0.2041 As
0.4957 0.4957 0.7959 As
0.9041 0.3736 0.1833 As
0.6264 0.0959 0.8167 As
```

**Theoretical density**: 5.25 g/cm³
**ΔE_f**: -0.63 eV/atom
**Space group**: C2/m


3.
Ba2Cd2As3 after structural relaxation. Source: the Materials Project database, functional GGA-PBE.

```
Ba2Cd2As3
1.0
2.3146 8.7373 0.0000
-2.3146 8.7373 0.0000
0.0000 7.7397 10.4137
Ba Cd As
4 4 6
direct
0.2687 0.2687 0.3323 Ba
0.7313 0.7313 0.6677 Ba
0.3926 0.3926 0.9519 Ba
0.6074 0.6074 0.0481 Ba
0.0408 0.0408 0.6849 Cd
0.9592 0.9592 0.3151 Cd
0.4106 0.4106 0.6517 Cd
0.5894 0.5894 0.3483 Cd
0.0716 0.0716 0.8834 As
0.9284 0.9284 0.1166 As
0.1523 0.1523 0.2000 As
0.8477 0.8477 0.8000 As
0.3841 0.3841 0.4615 As
0.6159 0.6159 0.5385 As
```

**Theoretical density**: 5.71 g/cm³
**ΔE_f**: -0.77 eV/atom
**Space group**: C2/m


4.
BaCdAs2O7 after structural relaxation. Source: the Materials Project database, functional GGA-PBE.

```
BaCdAs2O7
1.0
-3.4966 -4.0490 -2.5429
5.7078 -4.5429 1.6110
-4.1616 -0.4681 6.6999
Ba Cd As O
2 2 4 14
direct
0.7020 0.2752 0.9304 Ba
0.2980 0.7248 0.0696 Ba
0.3125 0.8364 0.6031 Cd
0.6875 0.1636 0.3969 Cd
0.8134 0.7762 0.8130 As
0.1866 0.2238 0.1870 As
0.7893 0.6692 0.3998 As
0.2107 0.3308 0.6002 As
0.9408 0.2290 0.6239 O
0.0592 0.7710 0.3761 O
0.7858 0.6453 0.9679 O
0.2142 0.3547 0.0321 O
0.7815 0.6148 0.6129 O
0.2185 0.3852 0.3871 O
0.5936 0.9062 0.8179 O
0.4064 0.0938 0.1821 O
0.5901 0.8189 0.3907 O
0.4099 0.1811 0.6093 O
0.2849 0.5424 0.7222 O
0.7151 0.4576 0.2778 O
0.0770 0.9008 0.8248 O
0.9230 0.0992 0.1752 O
```

**Theoretical density**: 4.99 g/cm³
**ΔE_f**: -2.11 eV/atom
**Space group**: P-1
**Energy with MP2020 corrections**: -6.361 eV/atom


5.
Ba10MgAs6Cl2O24 after structural relaxation. Source: the Materials Project database, functional GGA-PBE.

```
Ba10MgAs6Cl2O24
1.0
10.7782 -0.0059 0.0000
-5.3943 9.3265 0.0000
0.0000 0.0000 8.3118
Ba Mg As Cl O
10 1 6 2 24
direct
0.6666 0.3333 0.5006 Ba
0.3310 0.6654 0.4357 Ba
0.0059 0.2526 0.2500 Ba
0.3310 0.6654 0.0643 Ba
0.7460 0.7532 0.2500 Ba
0.2466 0.9935 0.2500 Ba
0.7541 0.0095 0.7500 Ba
0.9913 0.7433 0.7500 Ba
0.6666 0.3333 0.9994 Ba
0.2559 0.2463 0.7500 Ba
0.3378 0.6687 0.7500 Mg
0.9548 0.5937 0.2500 As
0.6016 0.6318 0.7500 As
0.3685 0.9698 0.7500 As
0.4062 0.3618 0.2500 As
0.0320 0.3998 0.7500 As
0.6376 0.0437 0.2500 As
0.9999 0.9998 0.0021 Cl
0.9999 0.9998 0.4979 Cl
0.6479 0.7408 0.9195 O
0.3229 0.4653 0.2500 O
0.3582 0.2550 0.4201 O
0.4103 0.5322 0.7500 O
0.0931 0.3522 0.5802 O
0.6739 0.5188 0.7500 O
0.8465 0.3288 0.7500 O
0.1268 0.5916 0.7500 O
0.5911 0.4691 0.2500 O
0.7445 0.1025 0.0801 O
0.0931 0.3522 0.9198 O
0.8780 0.4089 0.2500 O
0.4685 0.8788 0.7500 O
0.8961 0.6414 0.0797 O
0.8961 0.6414 0.4203 O
0.4814 0.1555 0.7500 O
0.3582 0.2550 0.0799 O
0.7445 0.1025 0.4199 O
0.1417 0.6777 0.2500 O
0.2595 0.9075 0.9196 O
0.5338 0.8568 0.2500 O
0.2595 0.9075 0.5804 O
0.6479 0.7408 0.5805 O
0.5307 0.1216 0.2500 O
```

**Theoretical density**: 4.58 g/cm³
**ΔE_f**: -2.49 eV/atom
**Energy above the lowest structure with this stoichiometry**: 0.1720 eV per atom
**Space group**: Pm
**Energy with MP2020 corrections**: -6.468 eV/atom


6.
Ba10MgAs6Cl2O24 after structural relaxation. Source: the Materials Project database, functional GGA-PBE.

```
Ba10MgAs6Cl2O24
1.0
10.8271 -0.4230 0.0000
-5.7628 10.0428 0.0000
0.0000 0.0000 7.8400
Ba Mg As Cl O
10 1 6 2 24
direct
0.6548 0.3308 0.4972 Ba
0.3734 0.6764 0.4995 Ba
0.0109 0.2846 0.2500 Ba
0.3734 0.6764 0.0005 Ba
0.7459 0.7298 0.2500 Ba
0.2461 0.9918 0.2500 Ba
0.7679 0.1020 0.7500 Ba
0.0292 0.7367 0.7500 Ba
0.6548 0.3308 0.0028 Ba
0.2535 0.2618 0.7500 Ba
0.7695 0.8282 0.7500 Mg
0.9816 0.5996 0.2500 As
0.5900 0.5756 0.7500 As
0.3949 0.9659 0.7500 As
0.3898 0.3567 0.2500 As
0.0456 0.4245 0.7500 As
0.6300 0.0510 0.2500 As
0.9699 0.9821 0.9638 Cl
0.9699 0.9821 0.5362 Cl
0.6400 0.7255 0.9417 O
0.3273 0.4666 0.2500 O
0.3316 0.2476 0.4229 O
0.4050 0.5295 0.7500 O
0.0775 0.3540 0.5759 O
0.5427 0.3964 0.7500 O
0.8644 0.3789 0.7500 O
0.1582 0.5999 0.7500 O
0.5795 0.4517 0.2500 O
0.7433 0.1208 0.0755 O
0.0775 0.3540 0.9241 O
0.8776 0.4227 0.2500 O
0.4838 0.8777 0.7500 O
0.9298 0.6552 0.0740 O
0.9298 0.6552 0.4260 O
0.5345 0.1352 0.7500 O
0.3316 0.2476 0.0771 O
0.7433 0.1208 0.4245 O
0.1644 0.6585 0.2500 O
0.2822 0.9198 0.9257 O
0.5278 0.8767 0.2500 O
0.2822 0.9198 0.5743 O
0.6400 0.7255 0.5583 O
0.5247 0.1237 0.2500 O
```

**Theoretical density**: 4.59 g/cm³
**ΔE_f**: -2.59 eV/atom
**Energy above the lowest structure with this stoichiometry**: 0.0667 eV per atom
**Space group**: Pm
**Energy with MP2020 corrections**: -6.573 eV/atom


7.
Ba10MgAs6Cl2O24 after structural relaxation. Source: the Materials Project database, functional GGA-PBE.

```
Ba10MgAs6Cl2O24
1.0
-4.1982 -1.9300 10.1327
10.6191 0.9757 -1.3406
-0.5606 7.7578 1.3572
Ba Mg As Cl O
10 1 6 2 24
direct
0.6523 0.3147 0.4968 Ba
0.3859 0.6518 0.4896 Ba
0.9960 0.2650 0.2554 Ba
0.3089 0.6695 0.0255 Ba
0.7599 0.7507 0.2521 Ba
0.2531 0.9899 0.2568 Ba
0.7360 0.0039 0.7453 Ba
0.9564 0.7593 0.7913 Ba
0.6551 0.3237 0.0018 Ba
0.2555 0.2546 0.7562 Ba
0.1265 0.7081 0.4967 Mg
0.9661 0.5814 0.1929 As
0.6100 0.6258 0.7564 As
0.3497 0.9546 0.7584 As
0.3995 0.3625 0.2462 As
0.0259 0.4138 0.7378 As
0.6340 0.0251 0.2407 As
0.0148 0.0206 0.0272 Cl
0.9892 0.0101 0.5277 Cl
0.7031 0.7538 0.9068 O
0.3148 0.4596 0.2339 O
0.3475 0.2558 0.4266 O
0.4329 0.5385 0.7915 O
0.1042 0.3728 0.5739 O
0.6712 0.5074 0.7367 O
0.8468 0.3161 0.7368 O
0.0835 0.5975 0.7132 O
0.5780 0.4684 0.2608 O
0.7392 0.1020 0.0641 O
0.0936 0.3914 0.9231 O
0.8500 0.4000 0.2608 O
0.4440 0.8672 0.7349 O
0.8534 0.6091 0.0597 O
0.9602 0.6819 0.3797 O
0.4588 0.1381 0.7491 O
0.3685 0.2550 0.0705 O
0.7355 0.0886 0.4195 O
0.2529 0.7342 0.3191 O
0.2548 0.8940 0.9442 O
0.5566 0.8408 0.2292 O
0.2219 0.9055 0.6056 O
0.6479 0.7275 0.5724 O
0.5247 0.0967 0.2497 O
```

**Theoretical density**: 4.68 g/cm³
**ΔE_f**: -2.66 eV/atom
**Energy above the lowest structure with this stoichiometry**: 0.0000 eV per atom
**Space group**: P1
**Energy with MP2020 corrections**: -6.640 eV/atom


8.
Ba10MgAs6Cl2O24 after structural relaxation. Source: the Materials Project database, functional GGA-PBE.

```
Ba10MgAs6Cl2O24
1.0
11.0083 0.3214 -0.1736
-5.2283 9.5420 0.1530
-0.1225 0.0568 7.7945
Ba Mg As Cl O
10 1 6 2 24
direct
0.6626 0.3083 0.5210 Ba
0.3316 0.6603 0.5019 Ba
0.0359 0.2904 0.2437 Ba
0.3205 0.6540 0.0015 Ba
0.7613 0.7652 0.2391 Ba
0.2633 0.0152 0.2364 Ba
0.7828 0.0117 0.7356 Ba
0.9911 0.7395 0.7393 Ba
0.6868 0.3906 0.0059 Ba
0.2671 0.2755 0.7519 Ba
0.5753 0.0794 0.9209 Mg
0.9691 0.5921 0.2507 As
0.6172 0.6427 0.7322 As
0.3372 0.9492 0.7528 As
0.4186 0.3821 0.2583 As
0.0417 0.4282 0.7368 As
0.6152 0.0076 0.2505 As
0.0241 0.0261 0.9958 Cl
0.0130 0.0190 0.4820 Cl
0.6914 0.7482 0.9050 O
0.3262 0.4742 0.2597 O
0.3814 0.2670 0.4303 O
0.4421 0.5525 0.7564 O
0.1212 0.3813 0.5681 O
0.6874 0.5292 0.7193 O
0.7209 0.2203 0.8004 O
0.1484 0.6137 0.7386 O
0.5923 0.4890 0.2624 O
0.7152 0.0178 0.0799 O
0.1178 0.3842 0.9227 O
0.8734 0.4130 0.2679 O
0.4655 0.8973 0.7943 O
0.9090 0.6386 0.0641 O
0.9282 0.6692 0.4124 O
0.4271 0.1256 0.7794 O
0.3787 0.2823 0.0766 O
0.7088 0.0833 0.4303 O
0.1394 0.6343 0.2453 O
0.2271 0.8816 0.9211 O
0.4915 0.8404 0.2690 O
0.2607 0.8981 0.5560 O
0.6517 0.7511 0.5554 O
0.5363 0.1080 0.1708 O
```

**Theoretical density**: 4.60 g/cm³
**ΔE_f**: -2.64 eV/atom
**Energy above the lowest structure with this stoichiometry**: 0.0188 eV per atom
**Space group**: P1
**Energy with MP2020 corrections**: -6.621 eV/atom


9.
Ba10MgAs6Cl2O24 after structural relaxation. Source: the Materials Project database, functional GGA-PBE.

```
Ba10MgAs6Cl2O24
1.0
-6.0039 1.5313 -9.1462
10.8541 -3.1522 -0.3833
-2.1743 -7.5075 0.1703
Ba Mg As Cl O
10 1 6 2 24
direct
0.6654 0.3379 0.4990 Ba
0.3507 0.6375 0.4834 Ba
0.9948 0.2600 0.2500 Ba
0.3507 0.6375 0.0166 Ba
0.7600 0.7447 0.2500 Ba
0.2566 0.9871 0.2500 Ba
0.7003 0.9716 0.7500 Ba
0.9526 0.7513 0.7500 Ba
0.6654 0.3379 0.0010 Ba
0.2383 0.2349 0.7500 Ba
0.2582 0.7875 0.7500 Mg
0.9786 0.6018 0.2500 As
0.5955 0.6126 0.7500 As
0.4318 0.0430 0.7500 As
0.4011 0.3520 0.2500 As
0.0239 0.4206 0.7500 As
0.6274 0.0302 0.2500 As
0.9908 0.0022 0.0009 Cl
0.9908 0.0022 0.4991 Cl
0.6486 0.7190 0.9287 O
0.3190 0.4462 0.2500 O
0.3561 0.2480 0.4277 O
0.4129 0.5037 0.7500 O
0.0916 0.3852 0.5720 O
0.6857 0.5260 0.7500 O
0.8409 0.3362 0.7500 O
0.0920 0.6013 0.7500 O
0.5869 0.4640 0.2500 O
0.7365 0.0903 0.0715 O
0.0916 0.3852 0.9280 O
0.8801 0.4205 0.2500 O
0.4286 0.7823 0.7500 O
0.9234 0.6565 0.0755 O
0.9234 0.6565 0.4245 O
0.4605 0.2109 0.7500 O
0.3561 0.2480 0.0723 O
0.7365 0.0903 0.4285 O
0.1599 0.6698 0.2500 O
0.2971 0.9394 0.9152 O
0.5205 0.8495 0.2500 O
0.2971 0.9394 0.5848 O
0.6486 0.7190 0.5713 O
0.5361 0.1168 0.2500 O
```

**Theoretical density**: 4.62 g/cm³
**ΔE_f**: -2.63 eV/atom
**Energy above the lowest structure with this stoichiometry**: 0.0322 eV per atom
**Space group**: Pm
**Energy with MP2020 corrections**: -6.607 eV/atom


10.
Ba10MgAs6Cl2O24 after structural relaxation. Source: the Materials Project database, functional GGA-PBE.

```
Ba10MgAs6Cl2O24
1.0
10.8249 -0.1206 -0.2467
-5.5125 9.6775 0.1400
-0.1775 0.0105 7.7543
Ba Mg As Cl O
10 1 6 2 24
direct
0.6883 0.3226 0.4994 Ba
0.3117 0.6774 0.5006 Ba
0.0053 0.2509 0.2620 Ba
0.3429 0.6738 0.0072 Ba
0.7407 0.7465 0.2546 Ba
0.2546 0.0064 0.2378 Ba
0.7454 0.9936 0.7622 Ba
0.9947 0.7491 0.7380 Ba
0.6571 0.3262 0.9928 Ba
0.2593 0.2535 0.7454 Ba
0.5000 0.5000 0.5000 Mg
0.9623 0.5938 0.2333 As
0.5985 0.6112 0.7975 As
0.3695 0.9646 0.7411 As
0.4015 0.3888 0.2025 As
0.0377 0.4062 0.7667 As
0.6305 0.0354 0.2589 As
0.0000 0.0000 0.0000 Cl
0.0000 0.0000 0.5000 Cl
0.6245 0.7474 0.9434 O
0.4173 0.5620 0.2946 O
0.3237 0.2953 0.3962 O
0.4140 0.5435 0.7243 O
0.0897 0.3588 0.5851 O
0.5827 0.4380 0.7054 O
0.8536 0.3224 0.7726 O
0.1119 0.5855 0.7586 O
0.5860 0.4565 0.2757 O
0.7385 0.0870 0.0835 O
0.1138 0.3676 0.9450 O
0.8881 0.4145 0.2414 O
0.4635 0.8760 0.7506 O
0.8862 0.6324 0.0550 O
0.9103 0.6412 0.4149 O
0.4822 0.1408 0.7302 O
0.3755 0.2526 0.0566 O
0.7446 0.0992 0.4396 O
0.1464 0.6776 0.2274 O
0.2615 0.9130 0.9165 O
0.5178 0.8592 0.2698 O
0.2554 0.9008 0.5604 O
0.6763 0.7047 0.6038 O
0.5365 0.1240 0.2494 O
```

**Theoretical density**: 4.74 g/cm³
**ΔE_f**: -2.62 eV/atom
**Energy above the lowest structure with this stoichiometry**: 0.0423 eV per atom
**Space group**: P-1
**Energy with MP2020 corrections**: -6.597 eV/atom


11.
Ba10MgAs6Cl2O24 after structural relaxation. Source: the Materials Project database, functional GGA-PBE.

```
Ba10MgAs6Cl2O24
1.0
-7.1147 6.9813 3.5653
-1.8661 -10.6178 1.9313
4.6378 1.1650 6.5625
Ba Mg As Cl O
10 1 6 2 24
direct
0.6863 0.3455 0.4622 Ba
0.3272 0.6708 0.5165 Ba
0.0016 0.2343 0.1712 Ba
0.3094 0.6469 0.0133 Ba
0.7189 0.7078 0.2760 Ba
0.2584 0.9867 0.2895 Ba
0.7614 0.0405 0.6310 Ba
0.9860 0.7420 0.7723 Ba
0.6949 0.3103 0.9768 Ba
0.2806 0.2691 0.7374 Ba
0.6542 0.9236 0.9589 Mg
0.9681 0.5919 0.2516 As
0.5971 0.6326 0.7725 As
0.3658 0.9542 0.7957 As
0.4052 0.3745 0.2478 As
0.0430 0.4101 0.7206 As
0.6037 0.0119 0.2420 As
0.9630 0.9387 0.0892 Cl
0.0215 0.9951 0.5545 Cl
0.6222 0.7293 0.9680 O
0.3918 0.5281 0.2714 O
0.3814 0.2889 0.4235 O
0.4131 0.5437 0.7442 O
0.1059 0.3548 0.5522 O
0.6698 0.5214 0.7637 O
0.8593 0.3415 0.7056 O
0.1207 0.5903 0.7457 O
0.5841 0.4325 0.2077 O
0.7849 0.1131 0.9430 O
0.1091 0.3742 0.8972 O
0.9036 0.4146 0.2388 O
0.4810 0.8786 0.8041 O
0.8941 0.6229 0.0808 O
0.8977 0.6324 0.4282 O
0.4583 0.1307 0.7859 O
0.2859 0.2628 0.0908 O
0.7670 0.1317 0.3535 O
0.1529 0.6816 0.2618 O
0.2619 0.8971 0.9621 O
0.5066 0.9006 0.3903 O
0.2529 0.8787 0.6197 O
0.6714 0.7517 0.6320 O
0.5282 0.1248 0.2258 O
```

**Theoretical density**: 4.62 g/cm³
**ΔE_f**: -2.63 eV/atom
**Energy above the lowest structure with this stoichiometry**: 0.0284 eV per atom
**Space group**: P1
**Energy with MP2020 corrections**: -6.611 eV/atom